Density functional theory data (PBE-GGA) for Na4HfMg3P2S4O24 after structural relaxation.

Lattice parameters (Å, degrees): 8.8399 8.8330 22.6056 90.07 90.21 120.01
With the nearest neighbours (Å) after each atom.
Atoms (fractional coordinates):
Na (0.6334, 0.9967, 0.2546)  5 O 2.43-2.55
Na (0.3636, 0.3633, 0.2501)  4 O 2.41-2.46
Na (0.3094, 0.3403, 0.5920)  5 O 2.38-2.55
Na (0.6669, 0.9574, 0.5827)  4 O 2.33-2.46
Na (0.9788, 0.6800, 0.9124)  5 O 2.34-2.59
Na (0.3225, 0.2976, 0.9088)  5 O 2.34-2.52
Na (0.9836, 0.9786, 0.4964)  6 O 2.44-2.71
Na (0.9893, 0.0006, 0.9967)  6 O 2.50-2.69
Na (0.6574, 0.3215, 0.8227)  3 O 2.32-2.49
Na (0.6788, 0.3363, 0.3347)  6 O 2.53-2.66
Na (0.3211, 0.6660, 0.1608)  4 O 2.40-2.66
Na (0.3291, 0.6598, 0.6683)  6 O 2.50-2.70
Hf (0.6666, 0.3279, 0.9805)  6 O 2.02-2.12
Hf (0.6695, 0.3382, 0.4796)  6 O 2.00-2.10
Hf (0.3355, 0.6616, 0.8139)  6 O 2.02-2.14
Mg (0.9907, 0.9954, 0.3542)  6 O 1.99-2.16
Mg (0.9996, 0.0066, 0.8490)  6 O 1.99-2.14
Mg (0.9988, 0.9920, 0.6546)  4 O 1.98-2.14
Mg (0.0002, 0.9969, 0.1470)  6 O 2.06-2.12
Mg (0.6594, 0.3434, 0.6881)  6 O 1.96-2.19
Mg (0.6754, 0.3407, 0.1803)  5 O 1.97-2.15
Mg (0.3357, 0.6686, 0.0154)  6 O 1.98-2.20
Mg (0.3422, 0.6734, 0.5137)  5 O 1.96-2.15
Mg (0.3314, 0.6755, 0.3219)  4 O 1.97-2.18
P (0.2939, 0.2888, 0.7493)  4 O 1.53-1.60
P (0.6679, 0.6298, 0.5847)  4 O 1.52-1.58
P (0.6303, 0.6743, 0.9198)  4 O 1.50-1.61
P (0.0442, 0.3729, 0.9188)  4 O 1.51-1.58
P (0.3290, 0.9541, 0.9181)  4 O 1.51-1.58
P (0.6318, 0.9613, 0.4163)  4 O 1.53-1.60
S (0.2898, 0.9983, 0.2497)  4 O 1.47-1.52
S (0.7082, 0.7055, 0.2496)  4 O 1.46-1.52
S (0.0014, 0.2933, 0.2497)  4 O 1.48-1.50
S (0.9985, 0.7053, 0.7509)  4 O 1.46-1.52
S (0.7085, 0.0045, 0.7484)  4 O 1.46-1.52
S (0.9617, 0.3370, 0.5847)  4 O 1.46-1.52
S (0.3732, 0.0386, 0.5840)  4 O 1.47-1.52
S (0.9645, 0.6303, 0.0847)  4 O 1.47-1.52
S (0.6659, 0.0351, 0.0869)  4 O 1.47-1.52
S (0.3695, 0.3339, 0.0858)  4 O 1.47-1.52
S (0.3281, 0.3705, 0.4157)  4 O 1.47-1.52
S (0.0453, 0.6708, 0.4166)  4 O 1.46-1.53
O (0.2102, 0.0281, 0.3023)  1 S 1.47
O (0.8128, 0.7855, 0.3028)  1 S 1.46
O (0.9714, 0.1829, 0.3023)  1 S 1.48
O (0.2078, 0.1878, 0.8060)  1 P 1.53
O (0.9766, 0.7834, 0.8056)  1 S 1.48
O (0.8116, 0.0213, 0.8010)  1 S 1.46
O (0.7804, 0.9741, 0.6934)  1 S 1.48
O (0.1879, 0.2123, 0.6918)  1 P 1.54
O (0.0241, 0.8115, 0.6984)  1 S 1.46
O (0.7880, 0.8159, 0.1970)  1 S 1.48
O (0.0310, 0.2131, 0.1966)  1 S 1.48
O (0.1863, 0.9770, 0.1961)  1 S 1.47
O (0.8767, 0.3578, 0.6369)  1 S 1.46
O (0.4871, 0.1196, 0.6357)  1 S 1.47
O (0.6350, 0.5087, 0.6366)  1 P 1.52
O (0.8764, 0.5207, 0.1361)  1 S 1.47
O (0.6452, 0.1192, 0.1406)  1 S 1.48
O (0.4759, 0.3539, 0.1393)  1 S 1.48
O (0.4598, 0.3127, 0.0320)  1 S 1.52
O (0.8559, 0.5432, 0.0296)  1 S 1.52
O (0.6873, 0.1496, 0.0340)  1 S 1.52
O (0.4600, 0.1524, 0.5303)  1 S 1.52
O (0.6893, 0.5368, 0.5282)  1 P 1.58
O (0.8476, 0.3082, 0.5307)  1 S 1.52
O (0.5462, 0.6966, 0.9741)  1 P 1.50
O (0.1570, 0.4563, 0.9730)  1 P 1.51
O (0.2992, 0.8430, 0.9723)  1 P 1.51
O (0.5454, 0.8574, 0.4725)  1 P 1.53
O (0.3075, 0.4519, 0.4695)  1 S 1.47
O (0.1454, 0.6876, 0.4702)  1 S 1.46
O (0.1177, 0.6373, 0.3632)  1 S 1.47
O (0.5245, 0.8866, 0.3589)  1 P 1.54
O (0.3562, 0.4759, 0.3618)  1 S 1.48
O (0.1246, 0.4945, 0.8635)  1 P 1.57
O (0.3625, 0.8727, 0.8624)  1 P 1.55
O (0.5086, 0.6317, 0.8642)  1 P 1.57
O (0.0242, 0.8251, 0.4105)  1 S 1.47
O (0.8152, 0.9848, 0.4114)  1 P 1.53
O (0.1777, 0.1933, 0.4096)  1 S 1.47
O (0.0212, 0.1921, 0.9098)  1 P 1.52
O (0.1713, 0.9818, 0.9104)  1 P 1.54
O (0.8159, 0.8228, 0.9096)  1 P 1.52
O (0.9772, 0.1761, 0.5873)  1 S 1.49
O (0.2023, 0.0300, 0.5882)  1 S 1.48
O (0.8283, 0.8154, 0.5885)  1 P 1.54
O (0.9756, 0.8022, 0.0888)  1 S 1.47
O (0.8264, 0.0235, 0.0898)  1 S 1.47
O (0.1973, 0.1735, 0.0890)  1 S 1.47
O (0.6889, 0.1603, 0.7427)  1 S 1.48
O (0.4780, 0.3126, 0.7460)  1 P 1.54
O (0.8468, 0.5273, 0.7448)  1 S 1.48
O (0.6813, 0.5247, 0.2430)  1 S 1.50
O (0.8408, 0.3087, 0.2428)  1 S 1.50
O (0.4710, 0.1591, 0.2442)  1 S 1.52
O (0.6427, 0.4996, 0.9257)  1 P 1.61
O (0.8613, 0.3631, 0.9249)  1 P 1.58
O (0.4938, 0.1438, 0.9247)  1 P 1.58
O (0.6489, 0.1490, 0.4240)  1 P 1.60
O (0.4921, 0.3559, 0.4218)  1 S 1.52
O (0.8637, 0.5095, 0.4222)  1 S 1.53
O (0.3551, 0.4918, 0.0797)  1 S 1.47
O (0.1372, 0.6454, 0.0789)  1 S 1.47
O (0.5081, 0.8635, 0.0796)  1 S 1.47
O (0.3544, 0.8642, 0.5755)  1 S 1.48
O (0.4995, 0.6450, 0.5771)  1 P 1.57
O (0.1370, 0.4904, 0.5760)  1 S 1.48
O (0.3157, 0.8440, 0.2550)  1 S 1.50
O (0.5275, 0.6844, 0.2549)  1 S 1.52
O (0.1607, 0.4692, 0.2570)  1 S 1.49
O (0.3123, 0.4781, 0.7552)  1 P 1.60
O (0.1621, 0.6910, 0.7557)  1 S 1.52
O (0.5283, 0.8435, 0.7547)  1 S 1.52

Results
Symmetry = P1 (1)
Theoretical density = 2.99 g/cm3
Crystal system = triclinic
E_tot = -6.51 eV per atom
ΔH_f (0 K) = -2.57 eV/atom